# 1
DFT (GGA-PBE) results for crystalline Ho10Ti6O27 at its relaxed geometry.

Calculated values
spin magnetization = 0.006 μB per formula unit
SG = Cm, No. 8

abc: 7.4452 7.4452 12.1581
angles: 108.85 108.85 61.42
Last column: nearest neighbours and their distance in Å.
Positions (direct):
1 Ho 0.0000 0.0000 0.0000  3 O 2.13-2.14
2 Ho 0.2565 0.2565 0.7293  6 O 2.19-2.39
3 Ho 0.2620 0.7472 0.7279  6 O 2.16-2.41
4 Ho 0.2636 0.2636 0.2354  5 O 2.10-2.28
5 Ho 0.2751 0.7176 0.2320  6 O 2.14-2.37
6 Ho 0.5143 0.9860 0.4603  7 O 2.17-2.43
7 Ho 0.7176 0.2751 0.2320  6 O 2.14-2.37
8 Ho 0.7423 0.7423 0.7247  4 O 2.15-2.31
9 Ho 0.7472 0.2620 0.7279  6 O 2.16-2.41
10 Ho 0.9860 0.5143 0.4603  7 O 2.17-2.43
11 Ti 0.4879 0.4879 0.4952  5 O 1.93-2.07
12 Ti 0.4877 0.9811 0.9784  3 O 1.85-2.06
13 Ti 0.4941 0.4941 0.9900  5 O 1.88-2.07
14 Ti 0.7353 0.7353 0.1966  5 O 1.89-2.07
15 Ti 0.9811 0.4877 0.9784  3 O 1.85-2.06
16 Ti 0.9942 0.9942 0.4748  4 O 1.86-2.07
17 O 0.0021 0.6349 0.1633  1 Ti 1.89
18 O 0.0496 0.5798 0.6632  4 Ho 2.26-2.39
19 O 0.0595 0.0595 0.6464  1 Ti 1.93
20 O 0.2124 0.6777 0.5254  1 Ti 1.93
21 O 0.2251 0.6118 0.0225  1 Ti 1.88
22 O 0.2297 0.9035 0.4140  1 Ti 1.86
23 O 0.2414 0.2414 0.0404  2 Ti 2.06, 1 Ho 2.28
24 O 0.2726 0.8678 0.9263  1 Ti 1.99, 1 Ho 2.14
25 O 0.3017 0.3017 0.4346  3 Ho 2.17-2.28, 1 Ti 2.21
26 O 0.3761 0.9523 0.2489  2 Ho 2.10-2.14
27 O 0.4300 0.9827 0.8186  1 Ti 1.85
28 O 0.4403 0.4403 0.8222  1 Ti 1.89
29 O 0.4486 0.4486 0.3175  1 Ti 2.03, 3 Ho 2.18-2.20
30 O 0.5627 0.5627 0.6784  1 Ti 2.07, 3 Ho 2.15-2.16
31 O 0.5770 0.5770 0.1723  2 Ti 1.93-2.07
32 O 0.5798 0.0496 0.6632  4 Ho 2.26-2.39
33 O 0.6118 0.2251 0.0225  1 Ti 1.88
34 O 0.6349 0.0021 0.1633  1 Ti 1.89
35 O 0.6467 0.6467 0.5081  1 Ti 1.98
36 O 0.6616 0.6616 0.0127  4 Ti 2.06-2.20
37 O 0.6777 0.2124 0.5254  1 Ti 1.93
38 O 0.8206 0.8206 0.9293  2 Ho 2.13-2.31, 2 Ti 2.36
39 O 0.8221 0.8221 0.3788  2 Ti 2.07
40 O 0.8678 0.2726 0.9263  1 Ti 1.99, 1 Ho 2.14
41 O 0.9035 0.2297 0.4140  1 Ti 1.86
42 O 0.9523 0.3761 0.2489  2 Ho 2.10-2.14
43 O 0.9827 0.4300 0.8186  1 Ti 1.85

***

# 2
DFT (GGA-PBE) results for crystalline Ho10Ti6O27 at its relaxed geometry.

Calculated values
spin magnetization = 0.000 μB per formula unit
SG = Cm, No. 8

abc: 7.3990 7.3990 12.4994
angles: 107.86 107.86 58.69
Last column: nearest neighbours and their distance in Å.
Positions (direct):
1 Ho 0.0000 0.0000 0.0000  6 O 2.23-2.34
2 Ho 0.0033 0.0033 0.5074  7 O 2.20-2.45
3 Ho 0.2402 0.7471 0.7357  5 O 2.21-2.35
4 Ho 0.2600 0.7696 0.2566  5 O 2.22-2.38
5 Ho 0.2613 0.2613 0.2781  7 O 2.17-2.40
6 Ho 0.2693 0.2693 0.7722  5 O 2.20-2.35
7 Ho 0.5370 0.5370 0.9945  4 O 2.12-2.32
8 Ho 0.7471 0.2402 0.7357  5 O 2.21-2.35
9 Ho 0.7696 0.2600 0.2566  5 O 2.22-2.38
10 Ho 0.7740 0.7740 0.2394  6 O 2.13-2.36
11 Ti 0.9999 0.5116 0.4977  4 O 1.85-1.96
12 Ti 0.0239 0.4989 0.0091  5 O 1.88-2.04
13 Ti 0.4989 0.0239 0.0091  5 O 1.88-2.04
14 Ti 0.5116 0.9999 0.4977  4 O 1.85-1.96
15 Ti 0.5177 0.5177 0.5101  6 O 1.92-2.15
16 Ti 0.7711 0.7711 0.7602  4 O 1.85-1.97
17 O 0.0526 0.5462 0.6645  1 Ti 1.96
18 O 0.0830 0.0830 0.1898  4 Ho 2.17-2.27
19 O 0.0875 0.0875 0.6937  4 Ho 2.20-2.32
20 O 0.0967 0.5221 0.1697  1 Ti 1.89
21 O 0.2353 0.6392 0.5422  1 Ti 1.92
22 O 0.2403 0.6840 0.0681  3 Ho 2.22-2.31, 1 Ti 2.43
23 O 0.2518 0.2518 0.4594  2 Ti 1.91
24 O 0.2806 0.2806 0.9559  2 Ti 1.89
25 O 0.3210 0.8910 0.9471  1 Ti 1.88
26 O 0.3750 0.8403 0.4816  1 Ti 1.85
27 O 0.4541 0.4541 0.8149  4 Ho 2.12-2.25
28 O 0.4604 0.4604 0.3450  1 Ti 1.93
29 O 0.4917 0.9098 0.3203  1 Ti 2.09, 2 Ho 2.21-2.27
30 O 0.5221 0.0967 0.1697  1 Ti 1.89
31 O 0.5462 0.0526 0.6645  1 Ti 1.96
32 O 0.5984 0.9624 0.8672  2 Ti 1.85-1.96
33 O 0.6123 0.6123 0.6788  2 Ti 1.94-2.03
34 O 0.6392 0.2353 0.5422  1 Ti 1.92
35 O 0.6840 0.2403 0.0681  3 Ho 2.22-2.31, 1 Ti 2.43
36 O 0.7286 0.7286 0.0470  2 Ti 2.04, 1 Ho 2.27
37 O 0.8227 0.8227 0.5011  2 Ti 1.96
38 O 0.8403 0.3750 0.4816  1 Ti 1.85
39 O 0.8910 0.3210 0.9471  1 Ti 1.88
40 O 0.9098 0.4917 0.3203  1 Ti 2.09, 2 Ho 2.21-2.27
41 O 0.9329 0.9329 0.8000  1 Ti 1.97
42 O 0.9497 0.9497 0.3196  4 Ho 2.13-2.23
43 O 0.9624 0.5984 0.8672  2 Ti 1.85-1.96

***

Number 1: volume 12.8 Å³/atom, polymorph energy (0 for the lowest one) 128 meV per atom. Number 2: volume 12.7 Å³/atom, polymorph energy (0 for the lowest one) 0 meV per atom.